Record 1
# MgPaAu2 (PBE, relaxed)
data_MgPaAu2
_symmetry_space_group_name_H-M 'F m -3 m'
_symmetry_Int_Tables_number 225
_symmetry_space_group_name_Hall '-F 4 2 3'
_cell_length_a 6.993
_cell_length_b 6.993
_cell_length_c 6.993
_cell_angle_alpha 90.00
_cell_angle_beta 90.00
_cell_angle_gamma 90.00
loop_
_atom_site_label
_atom_site_fract_x
_atom_site_fract_y
_atom_site_fract_z
_atom_site_occupancy
Mg1 0.000 0.000 0.000 1
Pa1 0.000 0.000 0.500 1
Au1 0.250 0.250 0.250 1
# **Formation energy**: -0.44 eV per atom
# **Volume**: 21.37 Å³ per atom

***

Record 2
# Ba8Fe3N8 (PBE, relaxed)
data_Ba8Fe3N8
_symmetry_space_group_name_H-M 'C 1 2/m 1'
_symmetry_Int_Tables_number 12
_cell_length_a 19.761
_cell_length_b 5.710
_cell_length_c 7.912
_cell_angle_alpha 90.00
_cell_angle_beta 106.07
_cell_angle_gamma 90.00
loop_
_symmetry_equiv_pos_as_xyz
'x,y,z'
'-x,-y,-z'
'-x,y,-z'
'x,-y,z'
'x+1/2,y+1/2,z'
'-x+1/2,-y+1/2,-z'
'-x+1/2,y+1/2,-z'
'x+1/2,-y+1/2,z'
loop_
_atom_site_label
_atom_site_fract_x
_atom_site_fract_y
_atom_site_fract_z
_atom_site_occupancy
Ba1 0.028 0.000 0.269 1
Ba2 0.102 0.500 0.948 1
Ba3 0.168 0.500 0.472 1
Ba4 0.203 0.000 0.805 1
Fe1 0.000 0.500 0.500 1
Fe2 0.186 0.000 0.200 1
N1 0.021 0.500 0.302 1
N2 0.109 0.000 0.021 1
N3 0.179 0.000 0.413 1
N4 0.230 0.500 0.835 1
# **E (MP2020)**: -6.30 eV/atom
# **Formation energy**: -0.65 eV per atom
# **Volume**: 22.58 Å³ per atom

***

Record 3
# UAs (PBE, relaxed)
data_UAs
_symmetry_space_group_name_H-M 'P m -3 m'
_symmetry_Int_Tables_number 221
_symmetry_space_group_name_Hall '-P 4 2 3'
_cell_length_a 3.506
_cell_length_b 3.506
_cell_length_c 3.506
_cell_angle_alpha 90.00
_cell_angle_beta 90.00
_cell_angle_gamma 90.00
loop_
_atom_site_label
_atom_site_fract_x
_atom_site_fract_y
_atom_site_fract_z
_atom_site_occupancy
U1 0.000 0.000 0.000 1
As1 0.500 0.500 0.500 1
# **Formation energy**: -0.59 eV per atom
# **Volume**: 21.55 Å³ per atom

***

Record 4
# IrC2 (PBE, relaxed)
data_IrC2
_symmetry_space_group_name_H-M 'I 4/m m m'
_symmetry_Int_Tables_number 139
_symmetry_space_group_name_Hall '-I 4 2'
_cell_length_a 3.432
_cell_length_b 3.432
_cell_length_c 5.388
_cell_angle_alpha 90.00
_cell_angle_beta 90.00
_cell_angle_gamma 90.00
loop_
_atom_site_label
_atom_site_fract_x
_atom_site_fract_y
_atom_site_fract_z
_atom_site_occupancy
Ir1 0.000 0.000 0.000 1
C1 0.000 0.000 0.378 1
# **Distance to the lowest polymorph of the same formula**: 280 meV/atom
# **Formation energy**: 1.45 eV per atom
# **Volume**: 10.58 Å³ per atom